Entry 1:
## Tm2CuPd (GGA-PBE)

Data for a geometry-optimized Tm2CuPd structure. Values from VASP.

Geometry as Quantum ESPRESSO input:
```
&SYSTEM
  ibrav = 0, nat = 4, ntyp = 3
/
ATOMIC_SPECIES
Tm 168.93 Tm.upf
Cu 63.55 Cu.upf
Pd 106.42 Pd.upf
CELL_PARAMETERS angstrom
0.000 3.442 3.442
3.442 0.000 3.442
3.442 3.442 0.000
ATOMIC_POSITIONS crystal
Tm 0.250 0.250 0.250
Tm 0.750 0.750 0.750
Cu 0.000 0.000 0.000
Pd 0.500 0.500 0.500
```

**Theoretical density**: 10.34 g/cm³
**DFT total energy**: -20.72 eV/f.u.

Entry 2:
## UCu4Pd (GGA-PBE)

Data for a geometry-optimized UCu4Pd structure. Values from VASP.

Geometry as Quantum ESPRESSO input:
```
&SYSTEM
  ibrav = 0, nat = 6, ntyp = 3
/
ATOMIC_SPECIES
U 238.03 U.upf
Cu 63.55 Cu.upf
Pd 106.42 Pd.upf
CELL_PARAMETERS angstrom
0.000 3.525 3.525
3.525 0.000 3.525
3.525 3.525 0.000
ATOMIC_POSITIONS crystal
U 0.000 0.000 0.000
Cu 0.376 0.376 0.376
Cu 0.376 0.376 0.873
Cu 0.376 0.873 0.376
Cu 0.873 0.376 0.376
Pd 0.750 0.750 0.750
```

**Theoretical density**: 11.35 g/cm³
**DFT total energy**: -33.34 eV/f.u.

Entry 3:
## Pm3Cu (GGA-PBE)

Data for a geometry-optimized Pm3Cu structure. Values from VASP.

Geometry as Quantum ESPRESSO input:
```
&SYSTEM
  ibrav = 0, nat = 4, ntyp = 2
/
ATOMIC_SPECIES
Pm 145.00 Pm.upf
Cu 63.55 Cu.upf
CELL_PARAMETERS angstrom
-2.339 2.339 5.054
2.339 -2.339 5.054
2.339 2.339 -5.054
ATOMIC_POSITIONS crystal
Pm 0.000 0.000 0.000
Pm 0.250 0.750 0.500
Pm 0.750 0.250 0.500
Cu 0.500 0.500 0.000
```

**Theoretical density**: 7.49 g/cm³
**DFT total energy**: -17.74 eV/f.u.

Entry 4:
## PmCu3 (GGA-PBE)

Data for a geometry-optimized PmCu3 structure. Values from VASP.

Geometry as Quantum ESPRESSO input:
```
&SYSTEM
  ibrav = 0, nat = 8, ntyp = 2
/
ATOMIC_SPECIES
Pm 145.00 Pm.upf
Cu 63.55 Cu.upf
CELL_PARAMETERS angstrom
6.198 0.000 0.000
-3.099 5.368 0.000
0.000 0.000 4.306
ATOMIC_POSITIONS crystal
Pm 0.333 0.667 0.250
Pm 0.667 0.333 0.750
Cu 0.135 0.270 0.750
Cu 0.135 0.865 0.750
Cu 0.270 0.135 0.250
Cu 0.730 0.865 0.750
Cu 0.865 0.135 0.250
Cu 0.865 0.730 0.250
```

**Theoretical density**: 7.78 g/cm³
**DFT total energy**: -17.55 eV/f.u.

Entry 5:
## Pm2CuRu (GGA-PBE)

Data for a geometry-optimized Pm2CuRu structure. Values from VASP.

Geometry as Quantum ESPRESSO input:
```
&SYSTEM
  ibrav = 0, nat = 4, ntyp = 3
/
ATOMIC_SPECIES
Pm 145.00 Pm.upf
Cu 63.55 Cu.upf
Ru 101.07 Ru.upf
CELL_PARAMETERS angstrom
0.000 3.492 3.492
3.492 0.000 3.492
3.492 3.492 0.000
ATOMIC_POSITIONS crystal
Pm 0.250 0.250 0.250
Pm 0.750 0.750 0.750
Cu 0.000 0.000 0.000
Ru 0.500 0.500 0.500
```

**Theoretical density**: 8.86 g/cm³
**DFT total energy**: -23.69 eV/f.u.

Entry 6:
## Pm2CuSn (GGA-PBE)

Data for a geometry-optimized Pm2CuSn structure. Values from VASP.

Geometry as Quantum ESPRESSO input:
```
&SYSTEM
  ibrav = 0, nat = 4, ntyp = 3
/
ATOMIC_SPECIES
Pm 145.00 Pm.upf
Cu 63.55 Cu.upf
Sn 118.71 Sn.upf
CELL_PARAMETERS angstrom
0.000 3.731 3.731
3.731 0.000 3.731
3.731 3.731 0.000
ATOMIC_POSITIONS crystal
Pm 0.250 0.250 0.250
Pm 0.750 0.750 0.750
Cu 0.000 0.000 0.000
Sn 0.500 0.500 0.500
```

**Theoretical density**: 7.55 g/cm³
**DFT total energy**: -19.31 eV/f.u.

Entry 7:
## PmZnCu2 (GGA-PBE)

Data for a geometry-optimized PmZnCu2 structure. Values from VASP.

Geometry as Quantum ESPRESSO input:
```
&SYSTEM
  ibrav = 0, nat = 4, ntyp = 3
/
ATOMIC_SPECIES
Pm 145.00 Pm.upf
Zn 65.41 Zn.upf
Cu 63.55 Cu.upf
CELL_PARAMETERS angstrom
0.000 3.263 3.263
3.263 0.000 3.263
3.263 3.263 0.000
ATOMIC_POSITIONS crystal
Pm 0.000 0.000 0.000
Zn 0.500 0.500 0.500
Cu 0.250 0.250 0.250
Cu 0.750 0.750 0.750
```

**Theoretical density**: 8.06 g/cm³
**DFT total energy**: -14.84 eV/f.u.

Entry 8:
## Pr3Cu (GGA-PBE)

Data for a geometry-optimized Pr3Cu structure. Values from VASP.

Geometry as Quantum ESPRESSO input:
```
&SYSTEM
  ibrav = 0, nat = 4, ntyp = 2
/
ATOMIC_SPECIES
Pr 140.91 Pr.upf
Cu 63.55 Cu.upf
CELL_PARAMETERS angstrom
-2.364 2.364 5.099
2.364 -2.364 5.099
2.364 2.364 -5.099
ATOMIC_POSITIONS crystal
Pr 0.000 0.000 0.000
Pr 0.250 0.750 0.500
Pr 0.750 0.250 0.500
Cu 0.500 0.500 0.000
```

**Theoretical density**: 7.08 g/cm³
**DFT total energy**: -17.81 eV/f.u.

Entry 9:
## PrCu6 (GGA-PBE)

Data for a geometry-optimized PrCu6 structure. Values from VASP.

Geometry as Quantum ESPRESSO input:
```
&SYSTEM
  ibrav = 0, nat = 28, ntyp = 2
/
ATOMIC_SPECIES
Pr 140.91 Pr.upf
Cu 63.55 Cu.upf
CELL_PARAMETERS angstrom
8.102 0.000 0.000
0.000 5.089 0.000
0.000 0.000 10.162
ATOMIC_POSITIONS crystal
Pr 0.239 0.250 0.064
Pr 0.261 0.750 0.564
Pr 0.739 0.250 0.436
Pr 0.761 0.750 0.936
Cu 0.065 0.005 0.309
Cu 0.065 0.495 0.309
Cu 0.065 0.750 0.098
Cu 0.099 0.250 0.516
Cu 0.147 0.750 0.858
Cu 0.182 0.250 0.756
Cu 0.318 0.750 0.256
Cu 0.353 0.250 0.358
Cu 0.401 0.750 0.016
Cu 0.435 0.250 0.598
Cu 0.435 0.505 0.809
Cu 0.435 0.995 0.809
Cu 0.565 0.005 0.191
Cu 0.565 0.495 0.191
Cu 0.565 0.750 0.402
Cu 0.599 0.250 0.984
Cu 0.647 0.750 0.642
Cu 0.682 0.250 0.744
Cu 0.818 0.750 0.244
Cu 0.853 0.250 0.142
Cu 0.901 0.750 0.484
Cu 0.935 0.250 0.902
Cu 0.935 0.505 0.691
Cu 0.935 0.995 0.691
```

**Theoretical density**: 8.28 g/cm³
**DFT total energy**: -30.25 eV/f.u.

Entry 10:
## PrCu (GGA-PBE)

Data for a geometry-optimized PrCu structure. Values from VASP.

Geometry as Quantum ESPRESSO input:
```
&SYSTEM
  ibrav = 0, nat = 8, ntyp = 2
/
ATOMIC_SPECIES
Pr 140.91 Pr.upf
Cu 63.55 Cu.upf
CELL_PARAMETERS angstrom
7.097 0.000 0.000
0.000 4.440 0.000
0.000 0.000 6.143
ATOMIC_POSITIONS crystal
Pr 0.173 0.250 0.141
Pr 0.327 0.750 0.641
Pr 0.673 0.250 0.359
Pr 0.827 0.750 0.859
Cu 0.036 0.250 0.611
Cu 0.464 0.750 0.111
Cu 0.536 0.250 0.889
Cu 0.964 0.750 0.389
```

**Theoretical density**: 7.02 g/cm³
**DFT total energy**: -9.18 eV/f.u.

Entry 11:
## PrCu5 (GGA-PBE)

Data for a geometry-optimized PrCu5 structure. Values from VASP.

Geometry as Quantum ESPRESSO input:
```
&SYSTEM
  ibrav = 0, nat = 6, ntyp = 2
/
ATOMIC_SPECIES
Pr 140.91 Pr.upf
Cu 63.55 Cu.upf
CELL_PARAMETERS angstrom
5.135 0.000 0.000
-2.568 4.447 0.000
0.000 0.000 4.103
ATOMIC_POSITIONS crystal
Pr 0.000 0.000 0.000
Cu 0.000 0.500 0.500
Cu 0.333 0.667 0.000
Cu 0.500 0.000 0.500
Cu 0.500 0.500 0.500
Cu 0.667 0.333 0.000
```

**Theoretical density**: 8.13 g/cm³
**DFT total energy**: -26.17 eV/f.u.

Entry 12:
## PrCu6 (GGA-PBE)

Data for a geometry-optimized PrCu6 structure. Values from VASP.

Geometry as Quantum ESPRESSO input:
```
&SYSTEM
  ibrav = 0, nat = 28, ntyp = 2
/
ATOMIC_SPECIES
Pr 140.91 Pr.upf
Cu 63.55 Cu.upf
CELL_PARAMETERS angstrom
5.089 0.000 0.000
0.000 10.190 0.000
-0.189 0.000 8.077
ATOMIC_POSITIONS crystal
Pr 0.242 0.065 0.239
Pr 0.242 0.435 0.739
Pr 0.758 0.565 0.261
Pr 0.758 0.935 0.761
Cu 0.003 0.192 0.567
Cu 0.003 0.308 0.067
Cu 0.250 0.744 0.682
Cu 0.250 0.756 0.182
Cu 0.251 0.516 0.099
Cu 0.251 0.984 0.599
Cu 0.257 0.142 0.852
Cu 0.257 0.358 0.352
Cu 0.270 0.597 0.436
Cu 0.270 0.903 0.936
Cu 0.493 0.189 0.563
Cu 0.493 0.311 0.063
Cu 0.507 0.689 0.937
Cu 0.507 0.811 0.437
Cu 0.730 0.097 0.064
Cu 0.730 0.403 0.564
Cu 0.743 0.642 0.648
Cu 0.743 0.858 0.148
Cu 0.749 0.016 0.401
Cu 0.749 0.484 0.901
Cu 0.750 0.244 0.818
Cu 0.750 0.256 0.318
Cu 0.997 0.692 0.933
Cu 0.997 0.808 0.433
```

**Theoretical density**: 8.28 g/cm³
**DFT total energy**: -30.25 eV/f.u.

Entry 13:
## Pr2CuRu (GGA-PBE)

Data for a geometry-optimized Pr2CuRu structure. Values from VASP.

Geometry as Quantum ESPRESSO input:
```
&SYSTEM
  ibrav = 0, nat = 4, ntyp = 3
/
ATOMIC_SPECIES
Pr 140.91 Pr.upf
Cu 63.55 Cu.upf
Ru 101.07 Ru.upf
CELL_PARAMETERS angstrom
0.000 3.583 3.583
3.583 0.000 3.583
3.583 3.583 0.000
ATOMIC_POSITIONS crystal
Pr 0.250 0.250 0.250
Pr 0.750 0.750 0.750
Cu 0.000 0.000 0.000
Ru 0.500 0.500 0.500
```

**Theoretical density**: 8.06 g/cm³
**DFT total energy**: -23.48 eV/f.u.

Entry 14:
## Pr4CuS7 (GGA-PBE)

Data for a geometry-optimized Pr4CuS7 structure. Values from VASP.

Geometry as Quantum ESPRESSO input:
```
&SYSTEM
  ibrav = 0, nat = 24, ntyp = 3
/
ATOMIC_SPECIES
Pr 140.91 Pr.upf
Cu 63.55 Cu.upf
S 32.06 S.upf
CELL_PARAMETERS angstrom
9.808 0.000 0.000
-4.904 8.494 0.000
0.000 0.000 7.113
ATOMIC_POSITIONS crystal
Pr 0.152 0.373 0.000
Pr 0.221 0.848 0.000
Pr 0.333 0.667 0.462
Pr 0.373 0.221 0.500
Pr 0.627 0.779 0.000
Pr 0.667 0.333 0.962
Pr 0.779 0.152 0.500
Pr 0.848 0.627 0.500
Cu 0.000 0.000 0.109
Cu 0.000 0.000 0.609
S 0.073 0.561 0.240
S 0.111 0.259 0.596
S 0.149 0.889 0.596
S 0.259 0.149 0.096
S 0.333 0.667 0.843
S 0.439 0.513 0.240
S 0.487 0.927 0.240
S 0.513 0.073 0.740
S 0.561 0.487 0.740
S 0.667 0.333 0.343
S 0.741 0.851 0.596
S 0.851 0.111 0.096
S 0.889 0.741 0.096
S 0.927 0.439 0.740
```

**Theoretical density**: 4.77 g/cm³
**DFT total energy**: -71.75 eV/f.u.

Entry 15:
## PrCuS2 (GGA-PBE)

Data for a geometry-optimized PrCuS2 structure. Values from VASP.

Geometry as Quantum ESPRESSO input:
```
&SYSTEM
  ibrav = 0, nat = 16, ntyp = 3
/
ATOMIC_SPECIES
Pr 140.91 Pr.upf
Cu 63.55 Cu.upf
S 32.06 S.upf
CELL_PARAMETERS angstrom
6.547 0.000 0.000
0.000 7.251 0.000
-0.915 0.000 6.859
ATOMIC_POSITIONS crystal
Pr 0.190 0.051 0.300
Pr 0.190 0.449 0.800
Pr 0.810 0.551 0.200
Pr 0.810 0.949 0.700
Cu 0.427 0.665 0.452
Cu 0.427 0.835 0.952
Cu 0.573 0.165 0.048
Cu 0.573 0.335 0.548
S 0.087 0.726 0.499
S 0.087 0.774 0.999
S 0.411 0.115 0.723
S 0.411 0.385 0.223
S 0.589 0.615 0.777
S 0.589 0.885 0.277
S 0.913 0.226 0.001
S 0.913 0.274 0.501
```

**Theoretical density**: 5.48 g/cm³
**DFT total energy**: -22.64 eV/f.u.

Entry 16:
## PrCuSb2 (GGA-PBE)

Data for a geometry-optimized PrCuSb2 structure. Values from VASP.

Geometry as Quantum ESPRESSO input:
```
&SYSTEM
  ibrav = 0, nat = 8, ntyp = 3
/
ATOMIC_SPECIES
Pr 140.91 Pr.upf
Cu 63.55 Cu.upf
Sb 121.76 Sb.upf
CELL_PARAMETERS angstrom
4.383 0.000 0.000
0.000 4.383 0.000
0.000 0.000 10.224
ATOMIC_POSITIONS crystal
Pr 0.250 0.250 0.250
Pr 0.750 0.750 0.750
Cu 0.250 0.750 0.000
Cu 0.750 0.250 0.000
Sb 0.250 0.250 0.847
Sb 0.250 0.750 0.500
Sb 0.750 0.250 0.500
Sb 0.750 0.750 0.153
```

**Theoretical density**: 7.57 g/cm³
**DFT total energy**: -19.83 eV/f.u.

Entry 17:
## Pr5CuSe8 (GGA-PBE)

Data for a geometry-optimized Pr5CuSe8 structure. Values from VASP.

Geometry as Quantum ESPRESSO input:
```
&SYSTEM
  ibrav = 0, nat = 14, ntyp = 3
/
ATOMIC_SPECIES
Pr 140.91 Pr.upf
Cu 63.55 Cu.upf
Se 78.96 Se.upf
CELL_PARAMETERS angstrom
-4.428 4.428 4.573
4.428 -4.428 4.573
4.428 4.428 -4.573
ATOMIC_POSITIONS crystal
Pr 0.000 0.000 0.000
Pr 0.133 0.511 0.882
Pr 0.489 0.371 0.622
Pr 0.629 0.252 0.118
Pr 0.748 0.867 0.378
Cu 0.250 0.750 0.500
Se 0.011 0.252 0.396
Se 0.228 0.098 0.739
Se 0.359 0.489 0.261
Se 0.385 0.989 0.241
Se 0.511 0.772 0.870
Se 0.748 0.144 0.759
Se 0.856 0.615 0.604
Se 0.902 0.641 0.130
```

**Theoretical density**: 6.48 g/cm³
**Maximum piezoelectric response**: 0.327 C/m²
**DFT total energy**: -78.83 eV/f.u.

Entry 18:
## Pr3CuSiSe7 (GGA-PBE)

Data for a geometry-optimized Pr3CuSiSe7 structure. Values from VASP.

Geometry as Quantum ESPRESSO input:
```
&SYSTEM
  ibrav = 0, nat = 24, ntyp = 4
/
ATOMIC_SPECIES
Pr 140.91 Pr.upf
Cu 63.55 Cu.upf
Si 28.09 Si.upf
Se 78.96 Se.upf
CELL_PARAMETERS angstrom
10.715 0.000 0.000
-5.358 9.280 0.000
0.000 0.000 6.109
ATOMIC_POSITIONS crystal
Pr 0.126 0.355 0.000
Pr 0.229 0.874 0.000
Pr 0.355 0.229 0.500
Pr 0.645 0.771 0.000
Pr 0.771 0.126 0.500
Pr 0.874 0.645 0.500
Cu 0.000 0.000 0.473
Cu 0.000 0.000 0.973
Si 0.333 0.667 0.586
Si 0.667 0.333 0.086
Se 0.090 0.254 0.486
Se 0.108 0.585 0.734
Se 0.164 0.910 0.486
Se 0.254 0.164 0.986
Se 0.333 0.667 0.215
Se 0.415 0.522 0.734
Se 0.478 0.892 0.734
Se 0.522 0.108 0.234
Se 0.585 0.478 0.234
Se 0.667 0.333 0.715
Se 0.746 0.836 0.486
Se 0.836 0.090 0.986
Se 0.892 0.415 0.234
Se 0.910 0.746 0.986
```

**Theoretical density**: 5.83 g/cm³
**DFT total energy**: -64.70 eV/f.u.

Entry 19:
## Pr3CuSnSe7 (GGA-PBE)

Data for a geometry-optimized Pr3CuSnSe7 structure. Values from VASP.

Geometry as Quantum ESPRESSO input:
```
&SYSTEM
  ibrav = 0, nat = 24, ntyp = 4
/
ATOMIC_SPECIES
Pr 140.91 Pr.upf
Cu 63.55 Cu.upf
Sn 118.71 Sn.upf
Se 78.96 Se.upf
CELL_PARAMETERS angstrom
10.708 0.000 0.000
-5.354 9.274 0.000
0.000 0.000 6.365
ATOMIC_POSITIONS crystal
Pr 0.136 0.780 0.000
Pr 0.220 0.355 0.000
Pr 0.355 0.136 0.500
Pr 0.645 0.864 0.000
Pr 0.780 0.645 0.500
Pr 0.864 0.220 0.500
Cu 0.000 0.000 0.045
Cu 0.000 0.000 0.545
Sn 0.333 0.667 0.422
Sn 0.667 0.333 0.922
Se 0.085 0.513 0.249
Se 0.100 0.844 0.532
Se 0.156 0.256 0.532
Se 0.256 0.100 0.032
Se 0.333 0.667 0.819
Se 0.428 0.915 0.249
Se 0.487 0.572 0.249
Se 0.513 0.428 0.749
Se 0.572 0.085 0.749
Se 0.667 0.333 0.319
Se 0.744 0.900 0.532
Se 0.844 0.744 0.032
Se 0.900 0.156 0.032
Se 0.915 0.487 0.749
```

**Theoretical density**: 6.08 g/cm³
**DFT total energy**: -62.70 eV/f.u.

Entry 20:
## Pr3Cu4Sn4 (GGA-PBE)

Data for a geometry-optimized Pr3Cu4Sn4 structure. Values from VASP.

Geometry as Quantum ESPRESSO input:
```
&SYSTEM
  ibrav = 0, nat = 11, ntyp = 3
/
ATOMIC_SPECIES
Pr 140.91 Pr.upf
Cu 63.55 Cu.upf
Sn 118.71 Sn.upf
CELL_PARAMETERS angstrom
-2.308 3.529 7.569
2.308 -3.529 7.569
2.308 3.529 -7.569
ATOMIC_POSITIONS crystal
Pr 0.000 0.000 0.000
Pr 0.367 0.867 0.500
Pr 0.633 0.133 0.500
Cu 0.015 0.332 0.683
Cu 0.351 0.668 0.683
Cu 0.649 0.332 0.317
Cu 0.985 0.668 0.317
Sn 0.217 0.217 0.000
Sn 0.300 0.500 0.800
Sn 0.700 0.500 0.200
Sn 0.783 0.783 0.000
```

**Theoretical density**: 7.75 g/cm³
**DFT total energy**: -52.57 eV/f.u.

Entry 21:
## PrCuSn2 (GGA-PBE)

Data for a geometry-optimized PrCuSn2 structure. Values from VASP.

Geometry as Quantum ESPRESSO input:
```
&SYSTEM
  ibrav = 0, nat = 8, ntyp = 3
/
ATOMIC_SPECIES
Pr 140.91 Pr.upf
Cu 63.55 Cu.upf
Sn 118.71 Sn.upf
CELL_PARAMETERS angstrom
2.246 -9.300 0.000
2.246 9.300 0.000
0.000 0.000 4.712
ATOMIC_POSITIONS crystal
Pr 0.105 0.895 0.750
Pr 0.895 0.105 0.250
Cu 0.324 0.676 0.750
Cu 0.676 0.324 0.250
Sn 0.249 0.751 0.250
Sn 0.459 0.541 0.750
Sn 0.541 0.459 0.250
Sn 0.751 0.249 0.750
```

**Theoretical density**: 7.46 g/cm³
**DFT total energy**: -18.79 eV/f.u.